[1]
A plane-wave DFT calculation with PBE with a Hubbard U was carried out for an optimized crystal structure of CsCrH24S2O20.

Cell: 12.4748 12.4748 12.4748 Å, 90.00 90.00 90.00°
Fractional positions:
Cs1 0.5000 0.5000 0.5000
O1 0.2876 0.6578 0.5481
O2 0.7124 0.1578 0.9519
H1 0.0659 0.5196 0.2926
H2 0.7774 0.6799 0.8765
O3 0.6599 0.9977 0.5007
Cr1 0.0000 0.0000 0.0000
O4 0.2207 0.6635 0.9367
H3 0.1799 0.6235 0.2226
O5 0.8365 0.0633 0.7207
O6 0.5633 0.7207 0.6635
H4 0.4762 0.2964 0.9394
H5 0.4804 0.7926 0.4341
O7 0.3365 0.4367 0.2793
S1 0.1729 0.6729 0.8271
O8 0.1635 0.5633 0.7793
H6 0.6799 0.6235 0.2774
Cr2 0.5000 0.0000 0.5000
H7 0.7226 0.3201 0.3765
Cs2 0.0000 0.5000 0.0000
H8 0.7682 0.7226 0.9940
O9 0.1578 0.9519 0.7124
O10 0.2124 0.3422 0.0481
O11 0.0007 0.6599 0.5023
H9 0.0659 0.9804 0.7926
H10 0.3765 0.7774 0.8201
O12 0.7579 0.2579 0.2421
O13 0.7579 0.2421 0.7421
O14 0.5023 0.4993 0.1599
O15 0.7793 0.3365 0.0633
O16 0.5007 0.8401 0.4977
H11 0.5196 0.2926 0.0659
H12 0.8201 0.1235 0.2774
H13 0.5606 0.9762 0.2964
H14 0.8765 0.7774 0.6799
H15 0.2226 0.5060 0.2318
H16 0.1799 0.8765 0.7226
H17 0.4341 0.0196 0.2926
H18 0.0606 0.9762 0.2036
H19 0.0060 0.2318 0.2774
O17 0.2421 0.7579 0.2579
S2 0.6729 0.8271 0.1729
H20 0.9394 0.4762 0.2964
O18 0.4519 0.7876 0.8422
O19 0.9367 0.2793 0.1635
H21 0.2074 0.5659 0.5196
O20 0.5481 0.2876 0.6578
H22 0.2074 0.9341 0.0196
H23 0.2926 0.4341 0.0196
O21 0.5481 0.2124 0.1578
O22 0.4993 0.1599 0.5023
O23 0.7793 0.1635 0.5633
H24 0.1235 0.2774 0.8201
O24 0.5023 0.0007 0.6599
H25 0.7318 0.2774 0.4940
H26 0.6235 0.2226 0.1799
H27 0.2226 0.1799 0.6235
H28 0.5659 0.5196 0.2074
O25 0.2124 0.1578 0.5481
H29 0.2964 0.9394 0.4762
O26 0.0633 0.7207 0.8365
H30 0.7074 0.5659 0.9804
H31 0.9804 0.7926 0.0659
O27 0.3422 0.0481 0.2124
O28 0.7876 0.8422 0.4519
O29 0.4367 0.2793 0.3365
H32 0.2774 0.8201 0.1235
O30 0.8365 0.4367 0.2207
Cr3 0.0000 0.5000 0.5000
H33 0.8765 0.7226 0.1799
H34 0.4394 0.0238 0.7036
H35 0.7964 0.5606 0.5238
O31 0.2793 0.1635 0.9367
O32 0.9993 0.1599 0.9977
O33 0.2876 0.8422 0.0481
H36 0.7074 0.9341 0.4804
O34 0.0481 0.2876 0.8422
H37 0.2226 0.9940 0.7318
H38 0.0196 0.2074 0.9341
H39 0.7226 0.9940 0.7682
H40 0.2926 0.0659 0.5196
S3 0.3271 0.3271 0.3271
O35 0.6578 0.5481 0.2876
H41 0.0238 0.7036 0.4394
H42 0.7964 0.9394 0.0238
O36 0.0023 0.4993 0.3401
H43 0.4940 0.7682 0.7774
H44 0.9804 0.7074 0.5659
H45 0.2036 0.4394 0.4762
O37 0.2421 0.7421 0.7579
S4 0.6729 0.6729 0.6729
O38 0.1599 0.9977 0.9993
H46 0.3765 0.7226 0.3201
H47 0.3201 0.1235 0.2226
H48 0.7036 0.0606 0.5238
O39 0.4977 0.9993 0.3401
H49 0.6799 0.8765 0.7774
H50 0.0238 0.7964 0.9394
H51 0.5238 0.7036 0.0606
O40 0.0023 0.0007 0.8401
O41 0.5007 0.6599 0.9977
H52 0.0606 0.5238 0.7036
O42 0.4519 0.7124 0.3422
H53 0.5196 0.2074 0.5659
H54 0.7036 0.4394 0.0238
S5 0.1729 0.8271 0.3271
H55 0.7926 0.4341 0.4804
S6 0.3271 0.1729 0.8271
H56 0.2774 0.4940 0.7318
O43 0.2793 0.3365 0.4367
H57 0.9762 0.2964 0.5606
O44 0.2207 0.8365 0.4367
O45 0.7124 0.3422 0.4519
O46 0.3401 0.4977 0.9993
O47 0.1635 0.9367 0.2793
H58 0.5060 0.2318 0.2226
O48 0.7876 0.6578 0.9519
O49 0.6635 0.5633 0.7207
H59 0.0060 0.2682 0.7774
S7 0.8271 0.3271 0.1729
O50 0.0007 0.8401 0.0023
Cr4 0.5000 0.5000 0.0000
H60 0.2682 0.7226 0.5060
O51 0.8401 0.0023 0.0007
H61 0.2682 0.7774 0.0060
O52 0.9977 0.9993 0.1599
O53 0.9519 0.7124 0.1578
O54 0.7207 0.8365 0.0633
H62 0.9341 0.4804 0.7074
O55 0.4977 0.5007 0.8401
H63 0.9940 0.7318 0.2226
H64 0.9394 0.0238 0.7964
O56 0.9367 0.2207 0.6635
H65 0.2774 0.6799 0.6235
H66 0.5659 0.9804 0.7074
Cs3 0.5000 0.0000 0.0000
O57 0.6599 0.5023 0.0007
O58 0.2579 0.2579 0.2579
H67 0.7226 0.1799 0.8765
H68 0.7226 0.5060 0.2682
O59 0.1599 0.5023 0.4993
H69 0.2964 0.5606 0.9762
H70 0.2318 0.2774 0.0060
O60 0.9519 0.7876 0.6578
H71 0.1235 0.2226 0.3201
H72 0.5606 0.5238 0.7964
O61 0.4993 0.3401 0.0023
H73 0.4341 0.4804 0.7926
H74 0.4762 0.2036 0.4394
O62 0.9993 0.3401 0.4977
H75 0.7774 0.0060 0.2682
O63 0.7207 0.6635 0.5633
H76 0.2036 0.0606 0.9762
O64 0.1578 0.5481 0.2124
O65 0.0481 0.2124 0.3422
H77 0.2226 0.3201 0.1235
O66 0.3422 0.4519 0.7124
O67 0.4367 0.2207 0.8365
H78 0.5060 0.2682 0.7226
O68 0.0633 0.7793 0.3365
H79 0.6235 0.2774 0.6799
H80 0.4804 0.7074 0.9341
O69 0.6578 0.9519 0.7876
H81 0.7682 0.7774 0.4940
O70 0.6635 0.9367 0.2207
O71 0.8422 0.0481 0.2876
H82 0.9940 0.7682 0.7226
H83 0.7774 0.4940 0.7682
O72 0.3401 0.0023 0.4993
Cs4 0.0000 0.0000 0.5000
H84 0.7926 0.0659 0.9804
H85 0.0196 0.2926 0.4341
H86 0.3201 0.3765 0.7226
S8 0.8271 0.1729 0.6729
O73 0.5633 0.7793 0.1635
H87 0.2774 0.0060 0.2318
O74 0.8422 0.4519 0.7876
H88 0.9341 0.0196 0.2074
O75 0.9977 0.5007 0.6599
H89 0.5238 0.7964 0.5606
O76 0.7421 0.7579 0.2421
H90 0.9762 0.2036 0.0606
H91 0.7774 0.8201 0.3765
H92 0.4940 0.7318 0.2774
O77 0.8401 0.4977 0.5007
H93 0.8201 0.3765 0.7774
O78 0.7421 0.7421 0.7421
H94 0.2318 0.2226 0.5060
H95 0.4394 0.4762 0.2036
H96 0.7318 0.2226 0.9940
O79 0.2579 0.2421 0.7579
O80 0.3365 0.0633 0.7793

As for the calculated total energy: -1019.5 eV per cell. The crystal system is cubic.



[2]
A plane-wave DFT calculation with PBE with a Hubbard U was carried out for an optimized crystal structure of Li4V3P8O29.

Cell: 9.7380 9.7491 14.3040 Å, 91.03 89.71 119.60°
Fractional positions:
O1 0.3265 0.8038 0.6774
V1 0.9956 0.4328 0.7545
O2 0.9153 0.6524 0.1707
O3 0.2302 0.2383 0.9290
O4 0.5412 0.9234 0.8288
O5 0.7433 0.6570 0.6708
P1 0.3138 0.0860 0.1538
O6 0.7911 0.7620 0.0629
O7 0.8091 0.0066 0.5754
O8 0.3468 0.0847 0.6680
O9 0.2605 0.3442 0.3405
P2 0.3171 0.2248 0.6625
O10 0.6737 0.3420 0.4718
Li1 0.9443 0.9584 0.5010
O11 0.4785 0.8131 0.1809
O12 0.3156 0.6335 0.5313
O13 0.7420 0.0805 0.1689
P3 0.6980 0.9202 0.8429
O14 0.6703 0.4912 0.8261
O15 0.1824 0.5071 0.6802
O16 0.6803 0.3599 0.9720
O17 0.0190 0.8066 0.7349
O18 0.0847 0.3468 0.8374
P4 0.3249 0.6576 0.6343
P5 0.6698 0.3367 0.3678
O19 0.0825 0.7445 0.3366
V2 0.5659 0.0020 0.2519
O20 0.9158 0.5300 0.6701
O21 0.2345 0.2271 0.5745
O22 0.3804 0.9238 0.3264
O23 0.3834 0.4756 0.8257
O24 0.5386 0.6230 0.3252
O25 0.8107 0.3356 0.8200
Li2 0.2309 0.3251 0.0605
P6 0.9157 0.2141 0.1680
P7 0.9139 0.6853 0.6535
O26 0.3274 0.6680 0.0298
O27 0.6241 0.0791 0.6691
O28 0.2047 0.0120 0.4143
P8 0.7730 0.6816 0.1538
P9 0.0906 0.3188 0.3488
O29 0.8169 0.4855 0.3258
O30 0.3389 0.2562 0.1658
V3 0.0045 0.5651 0.2462
P10 0.6950 0.7818 0.3332
P11 0.2187 0.9188 0.3347
V4 0.4373 0.4355 0.2519
P12 0.7817 0.0814 0.6590
O31 0.7893 0.8035 0.2364
O32 0.4788 0.6613 0.6773
P13 0.2286 0.3199 0.8410
P14 0.0847 0.7836 0.8343
V5 0.5673 0.5718 0.7470
Li3 0.7631 0.6602 0.9394
O33 0.0812 0.6219 0.8243
O34 0.2567 0.9201 0.8389
O35 0.6195 0.5276 0.1681
O36 0.5132 0.1906 0.8335
Li4 0.0953 0.3293 0.5639
O37 0.2061 0.2071 0.7514
Li5 0.9051 0.6659 0.4360
P15 0.3349 0.6659 0.1332
O38 0.5139 0.3266 0.3298
O39 0.9212 0.2579 0.6681
O40 0.6573 0.9185 0.3342
O41 0.9857 0.7906 0.9118
O42 0.0054 0.1962 0.0878
O43 0.2399 0.0188 0.0610
O44 0.9217 0.3770 0.1743
V6 0.4391 0.9983 0.7497
O45 0.4749 0.3808 0.6778
Li6 0.3258 0.2349 0.4432
O46 0.3265 0.5130 0.1707
O47 0.0901 0.4739 0.3271
O48 0.4712 0.0881 0.1737
O49 0.1953 0.9850 0.2362
O50 0.9913 0.1981 0.2644
Li7 0.3232 0.0910 0.9372
O51 0.7998 0.7917 0.4120
O52 0.6699 0.1880 0.3216
O53 0.9717 0.7590 0.5607
O54 0.1859 0.6676 0.1805
Li8 0.9397 0.9845 0.0122
P16 0.6650 0.3403 0.8686
O55 0.0192 0.2461 0.4399
O56 0.6580 0.7431 0.8364
O57 0.7903 0.9972 0.9286
O58 0.8024 0.9993 0.7515

As for the calculated total energy: -620.3 eV per cell. The crystal system is triclinic.



[3]
A plane-wave DFT calculation with PBE with a Hubbard U was carried out for an optimized crystal structure of Na3Fe2P2O10F.

Cell: 9.1800 9.1852 10.5331 Å, 90.00 90.00 90.00°
Fractional positions:
O1 0.5922 0.4059 0.6651
P1 0.5000 0.5000 0.7577
O2 0.5922 0.9024 0.1628
O3 0.2464 0.2390 0.6425
Fe1 0.7524 0.7565 0.8069
O4 0.9034 0.5944 0.8401
Fe2 0.2524 0.7435 0.6931
O5 0.2536 0.7390 0.8575
Na1 0.2403 0.5145 0.0000
Na2 0.2597 0.0145 0.5000
O6 0.0966 0.4056 0.8401
O7 0.9078 0.9059 0.1651
O8 0.4040 0.4045 0.8447
O9 0.5960 0.5955 0.8447
O10 0.9078 0.4024 0.3372
O11 0.9040 0.0955 0.6553
Na3 0.0223 0.2692 0.5000
O12 0.0922 0.5976 0.6628
O13 0.4040 0.4045 0.1553
O14 0.0922 0.5976 0.3372
Fe3 0.7524 0.7565 0.1931
O15 0.0922 0.0941 0.8349
P2 0.0000 0.0000 0.7423
F1 0.7531 0.7512 0.0000
Na4 0.4417 0.3153 0.5000
Fe4 0.2476 0.2435 0.8069
Fe5 0.2524 0.7435 0.3069
O16 0.7536 0.7610 0.3575
P3 0.5000 0.0000 0.7481
F2 0.2469 0.2488 0.0000
F3 0.2531 0.7488 0.5000
P4 0.0000 0.5000 0.7519
O17 0.4078 0.0976 0.8372
O18 0.0960 0.9045 0.6553
O19 0.9040 0.0955 0.3447
P5 0.5000 0.5000 0.2423
O20 0.2536 0.7390 0.1425
O21 0.9034 0.5944 0.1599
O22 0.7464 0.2610 0.8575
O23 0.0922 0.0941 0.1651
F4 0.7469 0.2512 0.5000
Na5 0.5583 0.6847 0.5000
P6 0.0000 0.5000 0.2481
O24 0.4034 0.9056 0.3401
O25 0.5922 0.9024 0.8372
Fe6 0.7476 0.2565 0.3069
Na6 0.9417 0.1847 0.0000
O26 0.9078 0.9059 0.8349
Na7 0.0583 0.8153 0.0000
O27 0.9078 0.4024 0.6628
P7 0.0000 0.0000 0.2577
O28 0.0960 0.9045 0.3447
Na8 0.7403 0.9855 0.5000
Fe7 0.2476 0.2435 0.1931
Na9 0.9777 0.7308 0.5000
O29 0.5922 0.4059 0.3349
O30 0.5960 0.5955 0.1553
O31 0.0966 0.4056 0.1599
P8 0.5000 0.0000 0.2519
Na10 0.7597 0.4855 0.0000
O32 0.5966 0.0944 0.6599
O33 0.4078 0.0976 0.1628
O34 0.2464 0.2390 0.3575
Na11 0.5223 0.2308 0.0000
Na12 0.4777 0.7692 0.0000
O35 0.7464 0.2610 0.1425
O36 0.7536 0.7610 0.6425
Fe8 0.7476 0.2565 0.6931
O37 0.4078 0.5941 0.6651
O38 0.4034 0.9056 0.6599
O39 0.4078 0.5941 0.3349
O40 0.5966 0.0944 0.3401

As for the calculated total energy: -444.3 eV per cell. The crystal system is orthorhombic.



[4]
A plane-wave DFT calculation with PBE with a Hubbard U was carried out for an optimized crystal structure of VPN2O5.

Cell: 5.2104 7.1273 8.8117 Å, 88.91 90.00 90.00°
Fractional positions:
O1 0.4331 0.6915 0.7451
O2 0.4061 0.6812 0.2862
O3 0.5422 0.0305 0.2595
N1 0.3700 0.3291 0.5096
O4 0.4045 0.8626 0.0290
N2 0.4882 0.3414 0.0671
P1 0.3608 0.8626 0.2085
O5 0.5778 0.0606 0.7742
P2 0.8608 0.1374 0.7915
N3 0.8700 0.6709 0.4904
N4 0.9882 0.6586 0.9329
O6 0.9061 0.3188 0.7138
O7 0.9331 0.3085 0.2549
O8 0.9045 0.1374 0.9710
V1 0.8441 0.1200 0.1751
O9 0.0422 0.9695 0.7405
O10 0.0778 0.9394 0.2258
V2 0.3441 0.8800 0.8249

As for the calculated total energy: -113.5 eV per cell. The crystal system is monoclinic.